No. 1
Below is an optimized crystal structure of SrMgMnO3, with properties calculated at the PBE+U level.

Lattice parameters (Å, degrees): 3.963 3.963 6.372 90.00 90.00 90.00
Element x y z (fractional)
Sr (0.500, 0.500, 0.500)
Mg (0.500, 0.500, 0.000)
Mn (0.000, 0.000, 0.000)
O (0.500, 0.000, 0.000)
O (0.000, 0.500, 0.000)
O (0.000, 0.000, 0.500)

Calculated values
* calculated formation energy: -2074 meV/atom
* mass density: 3.6 g/cm3
* offset from the most stable computed form: 0.145 eV per atom

=====

No. 2
Below is an optimized crystal structure of LiVO2, with properties calculated at the PBE+U level.

Lattice parameters (Å, degrees): 5.951 5.951 5.951 60.00 60.00 60.00
Element x y z (fractional)
Li (0.125, 0.625, 0.625)
Li (0.625, 0.125, 0.625)
Li (0.625, 0.625, 0.625)
Li (0.625, 0.625, 0.125)
V (0.125, 0.125, 0.625)
V (0.125, 0.125, 0.125)
V (0.125, 0.625, 0.125)
V (0.625, 0.125, 0.125)
O (0.881, 0.881, 0.357)
O (0.881, 0.357, 0.881)
O (0.881, 0.881, 0.881)
O (0.893, 0.369, 0.369)
O (0.357, 0.881, 0.881)
O (0.369, 0.369, 0.369)
O (0.369, 0.893, 0.369)
O (0.369, 0.369, 0.893)

Calculated values
* calculated formation energy: -2482 meV/atom
* mass density: 4.0 g/cm3

=====

No. 3
Below is an optimized crystal structure of Sr2VCO3F5, with properties calculated at the PBE+U level.

Lattice parameters (Å, degrees): 8.961 5.619 13.933 74.99 90.00 90.00
Element x y z (fractional)
Sr (0.893, 0.693, 0.095)
Sr (0.357, 0.692, 0.087)
Sr (0.857, 0.308, 0.413)
Sr (0.393, 0.307, 0.405)
Sr (0.607, 0.693, 0.595)
Sr (0.143, 0.692, 0.587)
Sr (0.643, 0.308, 0.913)
Sr (0.107, 0.307, 0.905)
V (0.872, 0.198, 0.670)
V (0.372, 0.802, 0.830)
V (0.628, 0.198, 0.170)
V (0.128, 0.802, 0.330)
C (0.376, 0.182, 0.636)
C (0.876, 0.818, 0.864)
C (0.124, 0.182, 0.136)
C (0.624, 0.818, 0.364)
O (0.380, 0.412, 0.583)
O (0.371, 0.139, 0.732)
O (0.877, 0.992, 0.910)
O (0.120, 0.412, 0.083)
O (0.377, 0.008, 0.590)
O (0.871, 0.861, 0.768)
O (0.129, 0.139, 0.232)
O (0.623, 0.992, 0.410)
O (0.880, 0.588, 0.917)
O (0.123, 0.008, 0.090)
O (0.629, 0.861, 0.268)
O (0.620, 0.588, 0.417)
F (0.962, 0.670, 0.271)
F (0.283, 0.665, 0.263)
F (0.129, 0.470, 0.435)
F (0.629, 0.530, 0.065)
F (0.513, 0.922, 0.914)
F (0.718, 0.103, 0.586)
F (0.783, 0.335, 0.237)
F (0.462, 0.330, 0.229)
F (0.218, 0.897, 0.914)
F (0.013, 0.078, 0.586)
F (0.987, 0.922, 0.414)
F (0.782, 0.103, 0.086)
F (0.538, 0.670, 0.771)
F (0.217, 0.665, 0.763)
F (0.282, 0.897, 0.414)
F (0.487, 0.078, 0.086)
F (0.371, 0.470, 0.935)
F (0.871, 0.530, 0.565)
F (0.717, 0.335, 0.737)
F (0.038, 0.330, 0.729)

Calculated values
* calculated formation energy: -3279 meV/atom
* mass density: 3.7 g/cm3

=====

No. 4
Below is an optimized crystal structure of Li9Mn2Co5O16, with properties calculated at the PBE+U level.

Lattice parameters (Å, degrees): 3.018 8.055 12.017 90.65 95.09 90.91
Element x y z (fractional)
Li (0.001, 0.996, 0.254)
Li (0.504, 0.752, 0.624)
Li (0.999, 0.498, 0.001)
Li (0.500, 0.250, 0.376)
Li (0.001, 0.002, 0.748)
Li (0.496, 0.746, 0.127)
Li (0.999, 0.504, 0.497)
Li (0.500, 0.252, 0.874)
Li (0.500, 0.750, 0.375)
Mn (0.001, 0.003, 0.002)
Mn (0.499, 0.747, 0.873)
Co (0.998, 0.497, 0.748)
Co (0.499, 0.254, 0.127)
Co (0.005, 0.992, 0.494)
Co (0.997, 0.509, 0.256)
Co (0.501, 0.248, 0.624)
O (0.478, 0.014, 0.125)
O (0.997, 0.775, 0.503)
O (0.475, 0.505, 0.867)
O (0.978, 0.272, 0.243)
O (0.474, 0.013, 0.617)
O (0.973, 0.759, 0.996)
O (0.480, 0.498, 0.366)
O (0.973, 0.261, 0.742)
O (0.522, 0.002, 0.385)
O (0.022, 0.737, 0.752)
O (0.523, 0.488, 0.134)
O (0.024, 0.229, 0.507)
O (0.527, 0.992, 0.878)
O (0.005, 0.725, 0.247)
O (0.525, 0.486, 0.630)
O (0.025, 0.244, 0.008)

Calculated values
* calculated formation energy: -1785 meV/atom
* mass density: 4.1 g/cm3
* offset from the most stable computed form: 0.079 eV per atom

=====

No. 5
Below is an optimized crystal structure of Sr3Fe2Cu2Se2O5, with properties calculated at the PBE+U level.

Lattice parameters (Å, degrees): 4.009 4.009 13.868 81.71 98.29 90.00
Element x y z (fractional)
Sr (0.500, 0.500, 0.000)
Sr (0.363, 0.637, 0.725)
Sr (0.637, 0.363, 0.275)
Fe (0.070, 0.930, 0.140)
Fe (0.930, 0.070, 0.860)
Cu (0.748, 0.748, 0.500)
Cu (0.252, 0.252, 0.500)
Se (0.807, 0.193, 0.613)
Se (0.193, 0.807, 0.387)
O (0.000, 0.000, 0.000)
O (0.580, 0.920, 0.159)
O (0.920, 0.580, 0.841)
O (0.080, 0.420, 0.159)
O (0.420, 0.080, 0.841)

Calculated values
* calculated formation energy: -1860 meV/atom
* mass density: 5.6 g/cm3

=====

No. 6
Below is an optimized crystal structure of Na3Ni2P2C2O14, with properties calculated at the PBE+U level.

Lattice parameters (Å, degrees): 6.441 8.920 10.314 88.21 89.77 89.12
Element x y z (fractional)
Na (0.014, 0.748, 0.875)
Na (0.486, 0.750, 0.879)
Na (0.452, 0.731, 0.378)
Na (0.979, 0.261, 0.632)
Na (0.974, 0.255, 0.114)
Na (0.735, 0.086, 0.394)
Ni (0.753, 0.657, 0.607)
Ni (0.754, 0.655, 0.112)
Ni (0.262, 0.342, 0.891)
Ni (0.255, 0.343, 0.391)
P (0.251, 0.572, 0.642)
P (0.253, 0.570, 0.138)
P (0.754, 0.427, 0.859)
P (0.752, 0.428, 0.360)
C (0.748, 0.927, 0.642)
C (0.750, 0.924, 0.145)
C (0.251, 0.074, 0.856)
C (0.248, 0.074, 0.354)
O (0.246, 0.935, 0.838)
O (0.251, 0.936, 0.334)
O (0.740, 0.869, 0.528)
O (0.751, 0.866, 0.031)
O (0.746, 0.827, 0.737)
O (0.740, 0.823, 0.239)
O (0.064, 0.679, 0.616)
O (0.438, 0.673, 0.605)
O (0.066, 0.673, 0.101)
O (0.439, 0.671, 0.102)
O (0.753, 0.575, 0.932)
O (0.745, 0.574, 0.433)
O (0.258, 0.535, 0.792)
O (0.256, 0.531, 0.286)
O (0.762, 0.469, 0.711)
O (0.765, 0.467, 0.212)
O (0.243, 0.427, 0.567)
O (0.249, 0.422, 0.066)
O (0.570, 0.326, 0.893)
O (0.943, 0.325, 0.893)
O (0.566, 0.323, 0.389)
O (0.936, 0.321, 0.398)
O (0.256, 0.175, 0.763)
O (0.246, 0.176, 0.261)
O (0.252, 0.131, 0.970)
O (0.251, 0.129, 0.469)
O (0.757, 0.065, 0.656)
O (0.759, 0.061, 0.166)

Calculated values
* calculated formation energy: -1966 meV/atom
* mass density: 2.8 g/cm3
* offset from the most stable computed form: 0.026 eV per atom

=====

No. 7
Below is an optimized crystal structure of K2MgFe4P6O16F12, with properties calculated at the PBE+U level.

Lattice parameters (Å, degrees): 7.430 7.978 10.680 100.48 109.86 91.90
Element x y z (fractional)
K (0.758, 0.078, 0.774)
K (0.198, 0.003, 0.207)
Mg (0.417, 0.592, 0.207)
Fe (0.661, 0.298, 0.334)
Fe (0.329, 0.682, 0.666)
Fe (0.518, 0.482, 0.974)
Fe (0.003, 0.003, 0.505)
P (0.624, 0.732, 0.488)
P (0.341, 0.292, 0.501)
P (0.303, 0.074, 0.814)
P (0.699, 0.905, 0.192)
P (0.074, 0.603, 0.864)
P (0.949, 0.402, 0.155)
O (0.647, 0.575, 0.392)
O (0.256, 0.449, 0.553)
O (0.775, 0.882, 0.532)
O (0.223, 0.122, 0.481)
O (0.580, 0.045, 0.224)
O (0.410, 0.925, 0.776)
O (0.434, 0.240, 0.866)
O (0.581, 0.728, 0.139)
O (0.896, 0.905, 0.302)
O (0.105, 0.082, 0.709)
O (0.903, 0.339, 0.263)
O (0.119, 0.652, 0.749)
O (0.817, 0.477, 0.046)
O (0.230, 0.572, 0.989)
O (0.396, 0.297, 0.377)
O (0.551, 0.708, 0.599)
F (0.850, 0.198, 0.488)
F (0.144, 0.789, 0.526)
F (0.490, 0.378, 0.143)
F (0.505, 0.606, 0.822)
F (0.756, 0.940, 0.067)
F (0.249, 0.035, 0.941)
F (0.920, 0.444, 0.806)
F (0.142, 0.538, 0.226)
F (0.539, 0.283, 0.621)
F (0.431, 0.793, 0.370)
F (0.045, 0.259, 0.082)
F (0.954, 0.742, 0.913)

Calculated values
* calculated formation energy: -2681 meV/atom
* mass density: 2.8 g/cm3
* offset from the most stable computed form: 0.043 eV per atom

=====

No. 8
Below is an optimized crystal structure of MgVRhO4, with properties calculated at the PBE+U level.

Lattice parameters (Å, degrees): 3.055 5.277 5.277 75.72 90.00 90.00
Element x y z (fractional)
Mg (0.500, 0.205, 0.205)
V (0.000, 0.912, 0.912)
Rh (0.500, 0.525, 0.525)
O (0.000, 0.348, 0.348)
O (0.500, 0.191, 0.826)
O (0.500, 0.826, 0.191)
O (0.000, 0.687, 0.687)

Calculated values
* calculated formation energy: -1901 meV/atom
* mass density: 4.9 g/cm3
* offset from the most stable computed form: 0.000 eV per atom

=====

No. 9
Below is an optimized crystal structure of Fe2Pb3WO9, with properties calculated at the PBE+U level.

Lattice parameters (Å, degrees): 5.687 5.687 6.984 90.00 90.00 60.00
Element x y z (fractional)
Fe (0.667, 0.667, 0.167)
Fe (0.000, 0.000, 0.500)
Pb (0.333, 0.333, 0.333)
Pb (0.667, 0.667, 0.623)
Pb (0.000, 0.000, 0.043)
W (0.333, 0.333, 0.833)
O (0.333, 0.833, 0.333)
O (0.833, 0.833, 0.333)
O (0.833, 0.333, 0.333)
O (0.656, 0.172, 0.670)
O (0.011, 0.495, 0.997)
O (0.172, 0.172, 0.670)
O (0.495, 0.495, 0.997)
O (0.172, 0.656, 0.670)
O (0.495, 0.011, 0.997)

Calculated values
* calculated formation energy: -1748 meV/atom
* mass density: 9.0 g/cm3

=====

No. 10
Below is an optimized crystal structure of Li4Mn5Cr3O16, with properties calculated at the PBE+U level.

Lattice parameters (Å, degrees): 5.878 5.878 9.502 89.05 89.05 59.71
Element x y z (fractional)
Li (0.670, 0.670, 0.899)
Li (0.999, 0.999, 0.997)
Li (0.999, 0.999, 0.494)
Li (0.335, 0.335, 0.394)
Mn (0.664, 0.664, 0.486)
Mn (0.829, 0.829, 0.214)
Mn (0.331, 0.331, 0.990)
Mn (0.665, 0.171, 0.715)
Mn (0.171, 0.665, 0.715)
Cr (0.827, 0.339, 0.213)
Cr (0.339, 0.827, 0.213)
Cr (0.171, 0.171, 0.714)
O (0.835, 0.325, 0.600)
O (0.514, 0.514, 0.335)
O (0.673, 0.673, 0.106)
O (0.992, 0.992, 0.308)
O (0.997, 0.997, 0.810)
O (0.325, 0.835, 0.600)
O (0.958, 0.522, 0.340)
O (0.522, 0.958, 0.340)
O (0.162, 0.162, 0.094)
O (0.839, 0.839, 0.608)
O (0.485, 0.043, 0.841)
O (0.043, 0.485, 0.841)
O (0.341, 0.341, 0.609)
O (0.670, 0.159, 0.098)
O (0.482, 0.482, 0.839)
O (0.159, 0.670, 0.098)

Calculated values
* calculated formation energy: -2136 meV/atom
* mass density: 4.2 g/cm3

=====

No. 11
Below is an optimized crystal structure of Li4V3OF11, with properties calculated at the PBE+U level.

Lattice parameters (Å, degrees): 5.716 6.385 6.065 100.63 97.22 100.59
Element x y z (fractional)
Li (0.133, 0.557, 0.342)
Li (0.601, 0.318, 0.144)
Li (0.316, 0.148, 0.602)
Li (0.841, 0.380, 0.630)
V (0.696, 0.862, 0.379)
V (0.416, 0.661, 0.859)
V (0.992, 0.012, 0.004)
O (0.675, 0.879, 0.051)
F (0.061, 0.964, 0.329)
F (0.094, 0.731, 0.898)
F (0.434, 0.802, 0.582)
F (0.410, 0.590, 0.179)
F (0.186, 0.417, 0.611)
F (0.818, 0.598, 0.425)
F (0.313, 0.136, 0.944)
F (0.614, 0.446, 0.820)
F (0.580, 0.153, 0.402)
F (0.943, 0.303, 0.117)
F (0.879, 0.043, 0.683)

Calculated values
* calculated formation energy: -3125 meV/atom
* mass density: 3.2 g/cm3
* offset from the most stable computed form: 0.000 eV per atom

=====

No. 12
Below is an optimized crystal structure of Li9Mn2Co5O16, with properties calculated at the PBE+U level.

Lattice parameters (Å, degrees): 5.915 6.461 7.871 88.74 103.43 104.79
Element x y z (fractional)
Li (0.125, 0.624, 0.873)
Li (0.744, 0.259, 0.740)
Li (0.996, 0.503, 0.497)
Li (0.624, 0.131, 0.378)
Li (0.872, 0.381, 0.130)
Li (0.502, 0.997, 0.002)
Li (0.380, 0.866, 0.616)
Li (0.257, 0.741, 0.260)
Li (0.501, 0.503, 0.499)
Mn (0.001, 0.997, 0.001)
Mn (0.252, 0.254, 0.746)
Co (0.629, 0.623, 0.869)
Co (0.870, 0.872, 0.623)
Co (0.125, 0.127, 0.375)
Co (0.744, 0.747, 0.257)
Co (0.374, 0.377, 0.135)
O (0.929, 0.700, 0.053)
O (0.552, 0.323, 0.920)
O (0.812, 0.586, 0.686)
O (0.401, 0.185, 0.573)
O (0.678, 0.442, 0.296)
O (0.305, 0.071, 0.173)
O (0.164, 0.952, 0.818)
O (0.051, 0.826, 0.425)
O (0.320, 0.552, 0.704)
O (0.946, 0.179, 0.576)
O (0.184, 0.413, 0.312)
O (0.842, 0.050, 0.177)
O (0.085, 0.297, 0.935)
O (0.697, 0.926, 0.829)
O (0.587, 0.823, 0.440)
O (0.452, 0.672, 0.080)

Calculated values
* calculated formation energy: -1841 meV/atom
* mass density: 4.2 g/cm3
* offset from the most stable computed form: 0.023 eV per atom

=====

No. 13
Below is an optimized crystal structure of Li9Mn2Co5O16, with properties calculated at the PBE+U level.

Lattice parameters (Å, degrees): 5.877 5.902 8.273 91.02 90.01 90.38
Element x y z (fractional)
Li (0.000, 0.500, 0.000)
Li (0.255, 0.748, 0.255)
Li (0.256, 0.255, 0.744)
Li (0.500, 0.500, 0.000)
Li (0.500, 0.000, 0.500)
Li (0.745, 0.252, 0.745)
Li (0.744, 0.745, 0.256)
Li (0.000, 0.000, 0.500)
Li (0.500, 0.500, 0.500)
Mn (0.000, 0.000, 0.000)
Mn (0.000, 0.500, 0.500)
Co (0.257, 0.260, 0.255)
Co (0.743, 0.740, 0.745)
Co (0.500, 0.000, 0.000)
Co (0.744, 0.253, 0.257)
Co (0.256, 0.747, 0.743)
O (0.762, 0.772, 0.000)
O (0.009, 0.017, 0.233)
O (0.000, 0.504, 0.734)
O (0.235, 0.768, 0.989)
O (0.232, 0.266, 0.495)
O (0.509, 0.522, 0.759)
O (0.498, 0.006, 0.240)
O (0.765, 0.262, 0.486)
O (0.238, 0.228, 0.000)
O (0.491, 0.478, 0.241)
O (0.502, 0.994, 0.760)
O (0.765, 0.232, 0.011)
O (0.768, 0.734, 0.505)
O (0.991, 0.983, 0.767)
O (0.000, 0.496, 0.266)
O (0.235, 0.738, 0.514)

Calculated values
* calculated formation energy: -1838 meV/atom
* mass density: 4.2 g/cm3
* offset from the most stable computed form: 0.026 eV per atom